1.
## LiNbP4O12 (PBE-GGA)

Data for a geometry-optimized LiNbP4O12 structure.

The value obtained for the polymorph energy (0 for the lowest one) is 0.0 kJ/mol of formula units. The value obtained for the total energy is -7.314 eV per atom. The calculation puts the MP2020-corrected energy at -7.7720 eV per atom. The calculation puts the energy relative to the elements at -2.60 eV/atom.

Structure (CIF):
```
data_LiNbP4O12
_chemical_formula_sum 'Li4 Nb4 P16 O48'
_space_group_name_H-M_alt 'P b c n'
_space_group_IT_number 60
_cell_length_a 13.148
_cell_length_b 8.322
_cell_length_c 9.819
_cell_angle_alpha 90.00
_cell_angle_beta 90.00
_cell_angle_gamma 90.00
loop_
_space_group_symop_operation_xyz
'x,y,z'
'-x,-y,-z'
'-x+1/2,-y+1/2,z+1/2'
'x+1/2,y+1/2,-z+1/2'
'x+1/2,-y+1/2,-z'
'-x+1/2,y+1/2,z'
'-x,y,-z+1/2'
'x,-y,z+1/2'
loop_
_atom_site_label
_atom_site_fract_x
_atom_site_fract_y
_atom_site_fract_z
Li1 0.000 0.002 0.250
Nb1 0.000 0.369 0.750
P1 0.136 0.172 0.000
P2 0.155 0.468 0.493
O1 0.067 0.183 0.876
O2 0.081 0.463 0.376
O3 0.100 0.090 0.124
O4 0.127 0.369 0.616
O5 0.177 0.350 0.039
O6 0.238 0.091 0.937
```

2.
## Tm6CoBi2 (PBE-GGA)

Data for a geometry-optimized Tm6CoBi2 structure.

The value obtained for the total energy is -5.091 eV per atom. The calculation puts the energy relative to the elements at -0.45 eV/atom.

Structure (CIF):
```
data_Tm6CoBi2
_chemical_formula_sum 'Tm6 Co1 Bi2'
_space_group_name_H-M_alt 'P -6 2 m'
_space_group_IT_number 189
_space_group_name_Hall 'P -6 -2'
_cell_length_a 8.2674
_cell_length_b 8.2674
_cell_length_c 4.0572
_cell_angle_alpha 90.00
_cell_angle_beta 90.00
_cell_angle_gamma 120.00
loop_
_atom_site_label
_atom_site_fract_x
_atom_site_fract_y
_atom_site_fract_z
Tm1 0.0000 0.3899 0.0000
Tm2 0.0000 0.7692 0.5000
Co1 0.0000 0.0000 0.0000
Bi1 0.3333 0.6667 0.5000
```

3.
## CsAgC2 (PBE-GGA)

Data for a geometry-optimized CsAgC2 structure.

The value obtained for the total energy is -5.187 eV per atom. The calculation puts the energy relative to the elements at 0.36 eV/atom.

Structure (CIF):
```
data_CsAgC2
_chemical_formula_sum 'Cs2 Ag2 C4'
_space_group_name_H-M_alt 'P 42/m m c'
_space_group_IT_number 131
_space_group_name_Hall '-P 4c 2'
_cell_length_a 5.321
_cell_length_b 5.321
_cell_length_c 9.013
_cell_angle_alpha 90.00
_cell_angle_beta 90.00
_cell_angle_gamma 90.00
loop_
_atom_site_label
_atom_site_fract_x
_atom_site_fract_y
_atom_site_fract_z
Cs1 0.000 0.000 0.250
Ag1 0.500 0.500 0.000
C1 0.117 0.500 0.000
```

4.
## Na5Ti4Si3P3O24 (PBE-GGA)

Data for a geometry-optimized Na5Ti4Si3P3O24 structure.

The value obtained for the total energy is -7.451 eV per atom. The calculation puts the MP2020-corrected energy at -7.8738 eV per atom. The calculation puts the energy relative to the elements at -3.02 eV/atom.

Structure (CIF):
```
data_Na5Ti4Si3P3O24
_chemical_formula_sum 'Na15 Ti12 Si9 P9 O72'
_space_group_name_H-M_alt 'P 1'
_space_group_IT_number 1
_cell_length_a 8.816
_cell_length_b 8.817
_cell_length_c 22.133
_cell_angle_alpha 89.99
_cell_angle_beta 89.94
_cell_angle_gamma 60.04
loop_
_space_group_symop_operation_xyz
'x,y,z'
loop_
_atom_site_label
_atom_site_fract_x
_atom_site_fract_y
_atom_site_fract_z
Na1 0.000 0.000 0.000
Na2 0.000 0.365 0.250
Na3 0.032 0.297 0.917
Na4 0.033 0.662 0.416
Na5 0.298 0.031 0.417
Na6 0.331 0.350 0.832
Na7 0.336 0.964 0.084
Na8 0.349 0.332 0.332
Na9 0.366 0.998 0.750
Na10 0.660 0.666 0.168
Na11 0.663 0.032 0.916
Na12 0.668 0.666 0.667
Na13 0.966 0.698 0.084
Na14 0.967 0.331 0.583
Na15 0.993 0.998 0.501
Ti1 0.000 0.995 0.353
Ti2 0.331 0.333 0.186
Ti3 0.331 0.333 0.480
Ti4 0.341 0.323 0.980
Ti5 0.342 0.325 0.686
Ti6 0.656 0.669 0.520
Ti7 0.665 0.658 0.020
Ti8 0.665 0.664 0.814
Ti9 0.666 0.664 0.314
Ti10 0.989 0.003 0.147
Ti11 0.998 0.998 0.853
Ti12 0.999 0.990 0.647
Si1 0.000 0.709 0.250
Si2 0.041 0.330 0.083
Si3 0.336 0.037 0.584
Si4 0.375 0.950 0.917
Si5 0.380 0.660 0.416
Si6 0.623 0.044 0.084
Si7 0.661 0.379 0.916
Si8 0.712 0.996 0.750
Si9 0.951 0.375 0.418
P1 0.046 0.620 0.584
P2 0.286 0.708 0.750
P3 0.291 0.994 0.249
P4 0.336 0.615 0.084
P5 0.619 0.331 0.583
P6 0.666 0.953 0.417
P7 0.709 0.285 0.251
P8 0.955 0.665 0.917
P9 0.996 0.290 0.749
O1 0.025 0.803 0.310
O2 0.028 0.802 0.590
O3 0.030 0.171 0.806
O4 0.033 0.152 0.091
O5 0.131 0.367 0.143
O6 0.135 0.499 0.923
O7 0.138 0.499 0.638
O8 0.148 0.354 0.424
O9 0.156 0.027 0.590
O10 0.156 0.537 0.525
O11 0.164 0.304 0.744
O12 0.167 0.298 0.024
O13 0.171 0.512 0.245
O14 0.171 0.800 0.806
O15 0.172 0.801 0.089
O16 0.173 0.027 0.306
O17 0.181 0.978 0.910
O18 0.185 0.835 0.409
O19 0.200 0.828 0.694
O20 0.203 0.972 0.193
O21 0.301 0.165 0.524
O22 0.301 0.531 0.028
O23 0.303 0.164 0.245
O24 0.303 0.528 0.743
O25 0.353 0.493 0.423
O26 0.354 0.146 0.923
O27 0.361 0.136 0.643
O28 0.361 0.503 0.140
O29 0.468 0.695 0.756
O30 0.469 0.702 0.474
O31 0.469 0.833 0.977
O32 0.473 0.832 0.256
O33 0.492 0.140 0.141
O34 0.492 0.355 0.922
O35 0.497 0.639 0.078
O36 0.500 0.134 0.424
O37 0.501 0.864 0.858
O38 0.504 0.635 0.358
O39 0.506 0.357 0.640
O40 0.511 0.847 0.577
O41 0.515 0.170 0.744
O42 0.528 0.303 0.244
O43 0.530 0.306 0.528
O44 0.535 0.162 0.023
O45 0.632 0.869 0.361
O46 0.638 0.502 0.858
O47 0.642 0.851 0.078
O48 0.644 0.493 0.578
O49 0.685 0.827 0.755
O50 0.697 0.467 0.256
O51 0.701 0.834 0.472
O52 0.703 0.468 0.974
O53 0.801 0.171 0.306
O54 0.802 0.025 0.811
O55 0.805 0.169 0.589
O56 0.818 0.018 0.090
O57 0.828 0.199 0.194
O58 0.828 0.684 0.255
O59 0.831 0.969 0.410
O60 0.834 0.467 0.478
O61 0.834 0.471 0.756
O62 0.837 0.184 0.910
O63 0.838 0.971 0.692
O64 0.841 0.699 0.974
O65 0.852 0.508 0.077
O66 0.865 0.634 0.578
O67 0.866 0.501 0.358
O68 0.866 0.634 0.862
O69 0.970 0.831 0.910
O70 0.973 0.830 0.190
O71 0.974 0.201 0.692
O72 0.980 0.179 0.410
```

5.
## Er2InAg (PBE-GGA)

Data for a geometry-optimized Er2InAg structure.

The value obtained for the polymorph energy (0 for the lowest one) is 4.6 kJ/mol of formula units. The value obtained for the total energy is -4.066 eV per atom. The calculation puts the energy relative to the elements at -0.39 eV/atom.

Structure (CIF):
```
data_Er2InAg
_chemical_formula_sum 'Er2 In1 Ag1'
_space_group_name_H-M_alt 'P 4/m m m'
_space_group_IT_number 123
_space_group_name_Hall '-P 4 2'
_cell_length_a 3.669
_cell_length_b 3.669
_cell_length_c 7.379
_cell_angle_alpha 90.00
_cell_angle_beta 90.00
_cell_angle_gamma 90.00
loop_
_atom_site_label
_atom_site_fract_x
_atom_site_fract_y
_atom_site_fract_z
Er1 0.000 0.000 0.234
In1 0.500 0.500 0.500
Ag1 0.500 0.500 0.000
```

6.
## CaTi2P2O8 (PBE-GGA)

Data for a geometry-optimized CaTi2P2O8 structure.

The value obtained for the total energy is -7.637 eV per atom. The calculation puts the MP2020-corrected energy at -8.0600 eV per atom. The calculation puts the energy relative to the elements at -2.81 eV/atom.

Structure (CIF):
```
data_CaTi2P2O8
_chemical_formula_sum 'Ca8 Ti16 P16 O64'
_space_group_name_H-M_alt 'C 1 2/c 1'
_space_group_IT_number 15
_cell_length_a 17.553
_cell_length_b 5.038
_cell_length_c 17.032
_cell_angle_alpha 90.00
_cell_angle_beta 118.29
_cell_angle_gamma 90.00
loop_
_space_group_symop_operation_xyz
'x,y,z'
'-x,-y,-z'
'-x,y,-z+1/2'
'x,-y,z+1/2'
'x+1/2,y+1/2,z'
'-x+1/2,-y+1/2,-z'
'-x+1/2,y+1/2,-z+1/2'
'x+1/2,-y+1/2,z+1/2'
loop_
_atom_site_label
_atom_site_fract_x
_atom_site_fract_y
_atom_site_fract_z
Ca1 0.153 0.178 0.141
Ti1 0.000 0.178 0.250
Ti2 0.095 0.212 0.456
Ti3 0.250 0.250 0.000
P1 0.017 0.284 0.612
P2 0.219 0.239 0.363
O1 0.023 0.416 0.138
O2 0.050 0.102 0.694
O3 0.077 0.241 0.569
O4 0.080 0.222 0.959
O5 0.125 0.267 0.351
O6 0.221 0.076 0.556
O7 0.226 0.337 0.283
O8 0.250 0.050 0.890
```

7.
## CuTeO3 (PBE-GGA)

Data for a geometry-optimized CuTeO3 structure.

The value obtained for the total energy is -5.220 eV per atom. The calculation puts the MP2020-corrected energy at -5.6320 eV per atom. The calculation puts the energy relative to the elements at -1.21 eV/atom.

Structure (CIF):
```
data_CuTeO3
_chemical_formula_sum 'Cu4 Te4 O12'
_space_group_name_H-M_alt 'P n m a'
_space_group_IT_number 62
_cell_length_a 6.070
_cell_length_b 7.201
_cell_length_c 5.822
_cell_angle_alpha 90.00
_cell_angle_beta 90.00
_cell_angle_gamma 90.00
loop_
_space_group_symop_operation_xyz
'x,y,z'
'-x,-y,-z'
'-x+1/2,-y,z+1/2'
'x+1/2,y,-z+1/2'
'x+1/2,-y+1/2,-z+1/2'
'-x+1/2,y+1/2,z+1/2'
'-x,y+1/2,-z'
'x,-y+1/2,z'
loop_
_atom_site_label
_atom_site_fract_x
_atom_site_fract_y
_atom_site_fract_z
Cu1 0.000 0.000 0.000
Te1 0.008 0.250 0.493
O1 0.051 0.750 0.838
O2 0.200 0.557 0.412
```

8.
## Ho2Ga9Ru3 (PBE-GGA)

Data for a geometry-optimized Ho2Ga9Ru3 structure.

The value obtained for the total energy is -5.123 eV per atom. The calculation puts the energy relative to the elements at -0.53 eV/atom.

Structure (CIF):
```
data_Ho2Ga9Ru3
_chemical_formula_sum 'Ho8 Ga36 Ru12'
_space_group_name_H-M_alt 'C m c m'
_space_group_IT_number 63
_space_group_name_Hall '-C 2c 2'
_cell_length_a 12.939
_cell_length_b 7.540
_cell_length_c 9.727
_cell_angle_alpha 90.00
_cell_angle_beta 90.00
_cell_angle_gamma 90.00
loop_
_atom_site_label
_atom_site_fract_x
_atom_site_fract_y
_atom_site_fract_z
Ho1 0.164 0.167 0.250
Ga1 0.000 0.125 0.750
Ga2 0.000 0.337 0.060
Ga3 0.106 0.442 0.750
Ga4 0.165 0.170 0.576
Ru1 0.000 0.000 0.000
Ru2 0.174 0.500 0.000
```

9.
## Li2Mg (PBE-GGA)

Data for a geometry-optimized Li2Mg structure.

The value obtained for the total energy is -1.824 eV per atom. The calculation puts the energy relative to the elements at -0.02 eV/atom.

Structure (CIF):
```
data_Li2Mg
_chemical_formula_sum 'Li8 Mg4'
_space_group_name_H-M_alt 'A m m 2'
_space_group_IT_number 38
_cell_length_a 5.032
_cell_length_b 3.054
_cell_length_c 15.859
_cell_angle_alpha 90.00
_cell_angle_beta 90.00
_cell_angle_gamma 90.00
loop_
_space_group_symop_operation_xyz
'x,y,z'
'-x,-y,z'
'-x,y,z'
'x,-y,z'
'x,y+1/2,z+1/2'
'-x,-y+1/2,z+1/2'
'-x,y+1/2,z+1/2'
'x,-y+1/2,z+1/2'
loop_
_atom_site_label
_atom_site_fract_x
_atom_site_fract_y
_atom_site_fract_z
Li1 0.000 0.000 0.000
Li2 0.000 0.000 0.333
Li3 0.000 0.000 0.666
Li4 0.500 0.000 0.555
Mg1 0.500 0.000 0.220
Mg2 0.500 0.000 0.890
```

10.
## Li8TeO6 (PBE-GGA)

Data for a geometry-optimized Li8TeO6 structure.

The value obtained for the total energy is -4.901 eV per atom. The calculation puts the MP2020-corrected energy at -5.1762 eV per atom. The calculation puts the energy relative to the elements at -1.97 eV/atom.

Structure (CIF):
```
data_Li8TeO6
_chemical_formula_sum 'Li24 Te3 O18'
_space_group_name_H-M_alt 'R -3'
_space_group_IT_number 148
_space_group_name_Hall '-R 3'
_cell_length_a 5.6074
_cell_length_b 5.6074
_cell_length_c 15.9521
_cell_angle_alpha 90.00
_cell_angle_beta 90.00
_cell_angle_gamma 120.00
loop_
_atom_site_label
_atom_site_fract_x
_atom_site_fract_y
_atom_site_fract_z
Li1 0.0000 0.0000 0.1527
Li2 0.0168 0.3141 0.7125
Te1 0.0000 0.0000 0.5000
O1 0.0103 0.3577 0.2514
```

11.
## HgF2 (PBE-GGA)

Data for a geometry-optimized HgF2 structure.

The value obtained for the polymorph energy (0 for the lowest one) is 0.0 kJ/mol of formula units. The value obtained for the total energy is -2.774 eV per atom. The calculation puts the MP2020-corrected energy at -3.0824 eV per atom. The calculation puts the energy relative to the elements at -1.70 eV/atom.

Structure (CIF):
```
data_HgF2
_chemical_formula_sum 'Hg4 F8'
_space_group_name_H-M_alt 'F m -3 m'
_space_group_IT_number 225
_space_group_name_Hall '-F 4 2 3'
_cell_length_a 5.653
_cell_length_b 5.653
_cell_length_c 5.653
_cell_angle_alpha 90.00
_cell_angle_beta 90.00
_cell_angle_gamma 90.00
loop_
_atom_site_label
_atom_site_fract_x
_atom_site_fract_y
_atom_site_fract_z
Hg1 0.000 0.000 0.000
F1 0.250 0.250 0.250
```

12.
## CaGa2As2 (PBE-GGA)

Data for a geometry-optimized CaGa2As2 structure.

The value obtained for the total energy is -4.108 eV per atom. The calculation puts the energy relative to the elements at -0.63 eV/atom.

Structure (CIF):
```
data_CaGa2As2
_chemical_formula_sum 'Ca3 Ga6 As6'
_space_group_name_H-M_alt 'R -3 m'
_space_group_IT_number 166
_space_group_name_Hall '-R 3 2"'
_cell_length_a 4.0360
_cell_length_b 4.0360
_cell_length_c 25.2627
_cell_angle_alpha 90.00
_cell_angle_beta 90.00
_cell_angle_gamma 120.00
loop_
_atom_site_label
_atom_site_fract_x
_atom_site_fract_y
_atom_site_fract_z
Ca1 0.0000 0.0000 0.0000
Ga1 0.0000 0.0000 0.4509
As1 0.0000 0.0000 0.2568
```

| no. | ρ (kg/m3) |
| --- | --- |
| 1 | 2570 |
| 2 | 10306 |
| 3 | 3446 |
| 4 | 2900 |
| 5 | 9314 |
| 6 | 3262 |
| 7 | 6243 |
| 8 | 8823 |
| 9 | 1041 |
| 10 | 3201 |
| 11 | 8773 |
| 12 | 4604 |